The following is a DFT calculation (PBE) of a geometry-optimized Dy3Mg2VS8 structure.

Results
**Total magnetization**: 2.00 Bohr magnetons per cell
**Crystal system**: monoclinic

Unit cell a=7.7263 b=7.7263 c=7.7082 alpha=119.07 beta=119.07 gamma=60.84
Closest atoms and distances in Å follow each position.
Atoms (fractional coordinates):
Dy 0.0000 0.0000 0.0000  6 S 2.71-2.74
Dy 0.0000 0.5000 0.5000  6 S 2.70-2.75
Dy 0.5000 0.0000 0.5000  6 S 2.70-2.75
Mg 0.3751 0.3751 0.1245  4 S 2.43-2.53
Mg 0.6249 0.6249 0.8755  4 S 2.43-2.53
V 0.0000 0.0000 0.5000  6 S 2.54-2.55
S 0.2299 0.7690 0.7311  1 Mg 2.53, 1 V 2.54, 2 Dy 2.74-2.75
S 0.2310 0.7701 0.2689  1 Mg 2.53, 1 V 2.54, 2 Dy 2.74-2.75
S 0.2317 0.2317 0.7302  1 Mg 2.52, 1 V 2.55, 2 Dy 2.74
S 0.2458 0.2458 0.2542  1 Mg 2.43, 3 Dy 2.70-2.71
S 0.7542 0.7542 0.7458  1 Mg 2.43, 3 Dy 2.70-2.71
S 0.7683 0.7683 0.2698  1 Mg 2.52, 1 V 2.55, 2 Dy 2.74
S 0.7690 0.2299 0.7311  1 Mg 2.53, 1 V 2.54, 2 Dy 2.74-2.75
S 0.7701 0.2310 0.2689  1 Mg 2.53, 1 V 2.54, 2 Dy 2.74-2.75


The following is a DFT calculation (PBE) of a geometry-optimized MgCd structure.

Results
**Crystal system**: monoclinic

Unit cell a=6.0943 b=6.0943 c=7.3274 alpha=105.13 beta=105.13 gamma=30.51
Closest atoms and distances in Å follow each position.
Atoms (fractional coordinates):
Mg 0.0000 0.0000 0.0000  6 Cd 3.08-3.18, 6 Mg 3.16-3.21
Mg 0.3336 0.3336 0.6576  5 Cd 3.07-3.10, 7 Mg 3.17-3.21
Mg 0.6109 0.6109 0.7192  5 Cd 3.07-3.12, 7 Mg 3.16-3.21
Cd 0.2759 0.2759 0.0412  6 Mg 3.07-3.18, 6 Cd 3.20-3.21
Cd 0.6680 0.6680 0.3341  5 Mg 3.07-3.14, 7 Cd 3.17-3.21
Cd 0.9444 0.9444 0.3874  5 Mg 3.08-3.12, 7 Cd 3.17-3.21


The following is a DFT calculation (PBE) of a geometry-optimized Tm2Zn17 structure.

Results
**Crystal system**: trigonal
**Energy relative to the lowest polymorph listed for this composition**: 0.000 eV per atom

Unit cell a=6.7789 b=6.7789 c=6.7789 alpha=82.46 beta=82.46 gamma=82.46
Closest atoms and distances in Å follow each position.
Atoms (fractional coordinates):
Tm 0.1652 0.1652 0.1652  19 Zn 3.09-3.45
Tm 0.8348 0.8348 0.8348  19 Zn 3.09-3.45
Zn 0.0000 0.5000 0.5000  10 Zn 2.59-2.72
Zn 0.1474 0.1474 0.6622  8 Zn 2.53-2.76
Zn 0.1474 0.6622 0.1474  8 Zn 2.53-2.76
Zn 0.2010 0.5000 0.7990  8 Zn 2.59-2.76
Zn 0.2010 0.7990 0.5000  8 Zn 2.59-2.76
Zn 0.3378 0.8526 0.8526  8 Zn 2.53-2.76
Zn 0.3995 0.3995 0.3995  7 Zn 2.65-2.86
Zn 0.5000 0.0000 0.5000  10 Zn 2.59-2.72
Zn 0.5000 0.2010 0.7990  8 Zn 2.59-2.76
Zn 0.5000 0.5000 0.0000  10 Zn 2.59-2.72
Zn 0.5000 0.7990 0.2010  8 Zn 2.59-2.76
Zn 0.6005 0.6005 0.6005  7 Zn 2.65-2.86
Zn 0.6622 0.1474 0.1474  8 Zn 2.53-2.76
Zn 0.7990 0.2010 0.5000  8 Zn 2.59-2.76
Zn 0.7990 0.5000 0.2010  8 Zn 2.59-2.76
Zn 0.8526 0.3378 0.8526  8 Zn 2.53-2.76
Zn 0.8526 0.8526 0.3378  8 Zn 2.53-2.76


The following is a DFT calculation (PBE) of a geometry-optimized Sm2Fe17C3 structure.

Results
**Total magnetization**: 0.45 Bohr magnetons per cell
**Crystal system**: trigonal

Unit cell a=6.5258 b=6.5258 c=6.5258 alpha=83.58 beta=83.58 gamma=83.58
Closest atoms and distances in Å follow each position.
Atoms (fractional coordinates):
Sm 0.1566 0.1566 0.1566  3 C 2.51
Sm 0.8434 0.8434 0.8434  3 C 2.51
Fe 0.0000 0.5000 0.5000  10 Fe 2.45-2.67
Fe 0.1576 0.1576 0.6430  1 C 1.91
Fe 0.1576 0.6430 0.1576  1 C 1.91
Fe 0.2161 0.5000 0.7839  1 C 1.88
Fe 0.2161 0.7839 0.5000  1 C 1.88
Fe 0.3570 0.8424 0.8424  1 C 1.91
Fe 0.4051 0.4051 0.4051  1 Fe 2.37
Fe 0.5000 0.0000 0.5000  10 Fe 2.45-2.67
Fe 0.5000 0.2161 0.7839  1 C 1.88
Fe 0.5000 0.5000 0.0000  10 Fe 2.45-2.67
Fe 0.5000 0.7839 0.2161  1 C 1.88
Fe 0.5949 0.5949 0.5949  1 Fe 2.37
Fe 0.6430 0.1576 0.1576  1 C 1.91
Fe 0.7839 0.2161 0.5000  1 C 1.88
Fe 0.7839 0.5000 0.2161  1 C 1.88
Fe 0.8424 0.3570 0.8424  1 C 1.91
Fe 0.8424 0.8424 0.3570  1 C 1.91
C 0.0000 0.0000 0.5000  4 Fe 1.88-1.91
C 0.0000 0.5000 0.0000  4 Fe 1.88-1.91
C 0.5000 0.0000 0.0000  4 Fe 1.88-1.91


The following is a DFT calculation (PBE) of a geometry-optimized TbGaNi structure.

Results
**Crystal system**: orthorhombic

Unit cell a=6.8602 b=4.3202 c=7.3461 alpha=90.00 beta=90.00 gamma=90.00
Closest atoms and distances in Å follow each position.
Atoms (fractional coordinates):
Tb 0.0194 0.2500 0.1996  5 Ni 2.85-3.15, 6 Ga 3.01-3.10
Tb 0.4806 0.7500 0.6996  5 Ni 2.85-3.15, 6 Ga 3.01-3.10
Tb 0.5194 0.2500 0.3004  5 Ni 2.85-3.15, 6 Ga 3.01-3.10
Tb 0.9806 0.7500 0.8004  5 Ni 2.85-3.15, 6 Ga 3.01-3.10
Ga 0.1825 0.2500 0.5797  4 Ni 2.51-2.66
Ga 0.3175 0.7500 0.0797  4 Ni 2.51-2.66
Ga 0.6825 0.2500 0.9203  4 Ni 2.51-2.66
Ga 0.8175 0.7500 0.4203  4 Ni 2.51-2.66
Ni 0.2054 0.7500 0.4081  4 Ga 2.51-2.66
Ni 0.2946 0.2500 0.9081  4 Ga 2.51-2.66
Ni 0.7054 0.7500 0.0919  4 Ga 2.51-2.66
Ni 0.7946 0.2500 0.5919  4 Ga 2.51-2.66


The following is a DFT calculation (PBE) of a geometry-optimized Li2SbPt structure.

Results
**Crystal system**: cubic

Unit cell a=4.4992 b=4.4992 c=4.4992 alpha=60.00 beta=60.00 gamma=60.00
Closest atoms and distances in Å follow each position.
Atoms (fractional coordinates):
Li 0.0000 0.0000 0.0000  4 Sb 2.76, 4 Li 2.76
Li 0.2500 0.2500 0.2500  4 Li 2.76, 4 Pt 2.76
Sb 0.7500 0.7500 0.7500  4 Li 2.76, 4 Pt 2.76
Pt 0.5000 0.5000 0.5000  4 Sb 2.76, 4 Li 2.76


The following is a DFT calculation (PBE) of a geometry-optimized DyAg3 structure.

Results
**Crystal system**: tetragonal

Unit cell a=5.2655 b=5.2655 c=5.2655 alpha=130.34 beta=130.34 gamma=72.86
Closest atoms and distances in Å follow each position.
Atoms (fractional coordinates):
Dy 0.0000 0.0000 0.0000  12 Ag 3.06-3.13
Ag 0.2500 0.7500 0.5000  8 Ag 3.06-3.13, 4 Dy 3.06
Ag 0.5000 0.5000 0.0000  8 Ag 3.06, 4 Dy 3.13
Ag 0.7500 0.2500 0.5000  8 Ag 3.06-3.13, 4 Dy 3.06


The following is a DFT calculation (PBE) of a geometry-optimized YSn6Ru4 structure.

Results
**Crystal system**: tetragonal

Unit cell a=6.9591 b=6.9591 c=6.9591 alpha=120.42 beta=120.42 gamma=89.28
Closest atoms and distances in Å follow each position.
Atoms (fractional coordinates):
Y 0.0000 0.0000 0.0000  4 Ru 3.29, 8 Sn 3.38-3.46
Sn 0.0000 0.5000 0.5000  4 Ru 2.67
Sn 0.1170 0.1170 0.6476  4 Ru 2.60-2.81
Sn 0.4694 0.4694 0.3524  4 Ru 2.60-2.81
Sn 0.5000 0.0000 0.5000  4 Ru 2.67
Sn 0.5306 0.8830 0.0000  4 Ru 2.60-2.81
Sn 0.8830 0.5306 0.0000  4 Ru 2.60-2.81
Ru 0.2497 0.5958 0.0000  6 Sn 2.60-2.81, 2 Ru 2.84
Ru 0.4042 0.4042 0.6539  6 Sn 2.60-2.81, 2 Ru 2.84
Ru 0.5958 0.2497 0.0000  6 Sn 2.60-2.81, 2 Ru 2.84
Ru 0.7503 0.7503 0.3461  6 Sn 2.60-2.81, 2 Ru 2.84


Number 1: E -5.845 eV per atom, DFT formation energy -1904 meV per atom. Number 2: E -1.305 eV per atom, DFT formation energy -44 meV per atom. Number 3: E -1.822 eV per atom, DFT formation energy -223 meV per atom. Number 4: E -8.063 eV per atom, DFT formation energy 170 meV per atom. Number 5: E -5.113 eV per atom, DFT formation energy -632 meV per atom. Number 6: E -4.182 eV per atom, DFT formation energy -677 meV per atom. Number 7: E -3.507 eV per atom, DFT formation energy -231 meV per atom. Number 8: E -6.471 eV per atom, DFT formation energy -324 meV per atom.